Crystalline U3Si at its relaxed geometry, computed with PBE-GGA.

POSCAR file:
```
U3Si
1.0
-2.998 2.998 4.273
2.998 -2.998 4.273
2.998 2.998 -4.273
U Si
6 2
direct
0.721 0.721 0.000 U
0.229 0.771 0.000 U
0.279 0.279 0.000 U
0.229 0.229 0.458 U
0.771 0.771 0.542 U
0.771 0.229 0.000 U
0.250 0.750 0.500 Si
0.750 0.250 0.500 Si
```

## Properties
formation energy from the elements: -0.221 eV/atom
mass density: 16.0 g/cm³